Record 1
Here is crystalline Ba2GeS4 at its relaxed geometry from the Materials Project database. Energies are from PBE.

Space-group type   Pnma, No. 62
Uncorrected energy   -5.0044 eV/atom

Lattice parameters (Å, degrees): 6.902 9.095 12.591 90.00 90.00 90.00
Sites, in units of the cell vectors:
Ge (0.750, 0.771, 0.428)
Ge (0.250, 0.229, 0.572)
Ge (0.750, 0.271, 0.072)
Ge (0.250, 0.729, 0.928)
S (0.486, 0.671, 0.359)
S (0.514, 0.329, 0.641)
S (0.750, 0.013, 0.406)
S (0.986, 0.829, 0.859)
S (0.014, 0.171, 0.141)
S (0.486, 0.171, 0.141)
S (0.986, 0.329, 0.641)
S (0.250, 0.987, 0.594)
S (0.250, 0.487, 0.906)
S (0.250, 0.307, 0.403)
S (0.750, 0.193, 0.903)
S (0.750, 0.693, 0.597)
S (0.750, 0.513, 0.094)
S (0.014, 0.671, 0.359)
S (0.250, 0.807, 0.097)
S (0.514, 0.829, 0.859)
Ba (0.250, 0.627, 0.581)
Ba (0.250, 0.979, 0.331)
Ba (0.250, 0.127, 0.919)
Ba (0.750, 0.873, 0.081)
Ba (0.750, 0.021, 0.669)
Ba (0.750, 0.373, 0.419)
Ba (0.750, 0.521, 0.831)
Ba (0.250, 0.479, 0.169)

=====

Record 2
Here is crystalline Ba2GeSb4S10 at its relaxed geometry from the Materials Project database. Energies are from PBE.

Space-group type   P4_2/mbc, No. 135
Uncorrected energy   -4.6501 eV/atom
Total magnetic moment   0.0 μB/f.u.

Lattice parameters (Å, degrees): 11.639 11.639 13.803 90.00 90.00 90.00
Sites, in units of the cell vectors:
S (0.183, 0.477, 0.369)
S (0.683, 0.023, 0.369)
S (0.256, 0.228, 0.500)
S (0.976, 0.850, 0.349)
S (0.228, 0.744, 0.000)
S (0.683, 0.023, 0.631)
S (0.650, 0.524, 0.849)
S (0.024, 0.150, 0.651)
S (0.476, 0.650, 0.349)
S (0.524, 0.350, 0.349)
S (0.150, 0.976, 0.151)
S (0.350, 0.476, 0.151)
S (0.977, 0.683, 0.869)
S (0.272, 0.244, 0.000)
S (0.977, 0.683, 0.131)
S (0.150, 0.976, 0.849)
S (0.817, 0.523, 0.369)
S (0.772, 0.256, 0.000)
S (0.476, 0.650, 0.651)
S (0.023, 0.317, 0.131)
S (0.976, 0.850, 0.651)
S (0.744, 0.772, 0.500)
S (0.523, 0.183, 0.131)
S (0.024, 0.150, 0.349)
S (0.317, 0.977, 0.369)
S (0.350, 0.476, 0.849)
S (0.850, 0.024, 0.849)
S (0.817, 0.523, 0.631)
S (0.023, 0.317, 0.869)
S (0.756, 0.272, 0.500)
S (0.183, 0.477, 0.631)
S (0.317, 0.977, 0.631)
S (0.650, 0.524, 0.151)
S (0.728, 0.756, 0.000)
S (0.850, 0.024, 0.151)
S (0.523, 0.183, 0.869)
S (0.524, 0.350, 0.651)
S (0.477, 0.817, 0.869)
S (0.244, 0.728, 0.500)
S (0.477, 0.817, 0.131)
Sb (0.344, 0.539, 0.500)
Sb (0.156, 0.039, 0.500)
Sb (0.656, 0.461, 0.500)
Sb (0.634, 0.091, 0.000)
Sb (0.409, 0.866, 0.500)
Sb (0.909, 0.634, 0.500)
Sb (0.366, 0.909, 0.000)
Sb (0.591, 0.134, 0.500)
Sb (0.539, 0.656, 0.000)
Sb (0.844, 0.961, 0.500)
Sb (0.039, 0.844, 0.000)
Sb (0.961, 0.156, 0.000)
Sb (0.461, 0.344, 0.000)
Sb (0.134, 0.409, 0.000)
Sb (0.866, 0.591, 0.000)
Sb (0.091, 0.366, 0.500)
Ge (0.500, 0.500, 0.250)
Ge (0.500, 0.500, 0.750)
Ge (0.000, 0.000, 0.750)
Ge (0.000, 0.000, 0.250)
Ba (0.264, 0.236, 0.750)
Ba (0.264, 0.236, 0.250)
Ba (0.764, 0.264, 0.250)
Ba (0.736, 0.764, 0.750)
Ba (0.764, 0.264, 0.750)
Ba (0.236, 0.736, 0.750)
Ba (0.236, 0.736, 0.250)
Ba (0.736, 0.764, 0.250)

=====

Record 3
Here is crystalline Ba2GeTe2Se2 at its relaxed geometry from the Materials Project database. Energies are from PBE.

Space-group type   P2_1/m, No. 11
Uncorrected energy   -4.3215 eV/atom
Total magnetic moment   0.0 μB/f.u.

Lattice parameters (Å, degrees): 7.288 7.564 9.494 71.54 90.00 90.00
Sites, in units of the cell vectors:
Ba (0.250, 0.762, 0.060)
Ba (0.750, 0.214, 0.449)
Ba (0.750, 0.238, 0.940)
Ba (0.250, 0.786, 0.551)
Se (0.495, 0.998, 0.240)
Se (0.995, 0.002, 0.760)
Se (0.505, 0.002, 0.760)
Se (0.005, 0.998, 0.240)
Te (0.250, 0.402, 0.889)
Te (0.750, 0.598, 0.111)
Te (0.250, 0.379, 0.418)
Te (0.750, 0.621, 0.582)
Ge (0.250, 0.211, 0.703)
Ge (0.750, 0.789, 0.297)

=====

Record 4
Here is crystalline Ba4Ge2Te5Se3 at its relaxed geometry from the Materials Project database. Energies are from PBE.

Space-group type   P1, No. 1
Uncorrected energy   -4.2444 eV/atom
Total magnetic moment   0.0 μB/f.u.

Lattice parameters (Å, degrees): 7.423 7.636 9.549 108.32 90.03 90.10
Sites, in units of the cell vectors:
Ge (0.751, 0.788, 0.701)
Ge (0.257, 0.218, 0.300)
Se (0.002, 0.995, 0.756)
Se (0.505, 0.009, 0.244)
Se (0.498, 0.995, 0.756)
Ba (0.255, 0.778, 0.450)
Ba (0.743, 0.223, 0.559)
Ba (0.257, 0.765, 0.936)
Ba (0.743, 0.237, 0.054)
Te (0.749, 0.615, 0.419)
Te (0.252, 0.385, 0.584)
Te (0.986, 0.990, 0.240)
Te (0.750, 0.603, 0.889)
Te (0.252, 0.401, 0.111)

=====

Record 5
Here is crystalline Ba2H3I at its relaxed geometry from the Materials Project database. Energies are from PBE.

Space-group type   P-3m1, No. 164
Uncorrected energy   -3.4525 eV/atom

Lattice parameters (Å, degrees): 4.537 4.537 8.168 90.00 90.00 120.00
Sites, in units of the cell vectors:
H (0.000, 0.000, 0.500)
H (0.667, 0.333, 0.356)
H (0.333, 0.667, 0.644)
Ba (0.667, 0.333, 0.684)
Ba (0.333, 0.667, 0.316)
I (0.000, 0.000, 0.000)

=====

Record 6
Here is crystalline BaH9IO5 at its relaxed geometry from the Materials Project database. Energies are from PBE.

Space-group type   P-1, No. 2
Uncorrected energy   -4.9157 eV/atom
Total magnetic moment   0.0 μB/f.u.

Lattice parameters (Å, degrees): 6.373 8.173 8.173 89.91 89.81 73.15
Sites, in units of the cell vectors:
H (0.818, 0.560, 0.666)
H (0.655, 0.683, 0.210)
H (0.822, 0.550, 0.328)
H (0.204, 0.178, 0.343)
H (0.178, 0.450, 0.672)
H (0.860, 0.816, 0.335)
H (0.182, 0.440, 0.334)
H (0.340, 0.516, 0.225)
H (0.660, 0.484, 0.775)
H (0.140, 0.184, 0.665)
H (0.796, 0.822, 0.657)
H (0.371, 0.041, 0.233)
H (0.012, 0.089, 0.776)
H (0.969, 0.333, 0.208)
H (0.031, 0.667, 0.792)
H (0.629, 0.959, 0.767)
H (0.345, 0.317, 0.790)
H (0.988, 0.911, 0.224)
O (0.315, 0.488, 0.339)
O (0.009, 0.646, 0.676)
O (0.341, 0.076, 0.348)
O (0.685, 0.512, 0.661)
O (0.282, 0.328, 0.679)
O (0.991, 0.354, 0.324)
O (0.718, 0.672, 0.321)
O (0.061, 0.094, 0.662)
O (0.939, 0.906, 0.338)
O (0.659, 0.924, 0.652)
Ba (0.328, 0.777, 0.533)
Ba (0.672, 0.223, 0.467)
I (0.333, 0.786, 0.001)
I (0.667, 0.214, 0.999)

=====

Record 7
Here is crystalline BaH3IO6 at its relaxed geometry from the Materials Project database. Energies are from PBE.

Space-group type   P1, No. 1
Uncorrected energy   -5.0423 eV/atom
Total magnetic moment   0.0 μB/f.u.

Lattice parameters (Å, degrees): 5.122 5.077 5.087 96.05 97.99 99.97
Sites, in units of the cell vectors:
O (0.224, 0.256, 0.584)
O (0.576, 0.213, 0.245)
O (0.748, 0.789, 0.428)
O (0.784, 0.420, 0.750)
O (0.439, 0.759, 0.795)
O (0.248, 0.571, 0.203)
H (0.382, 0.650, 0.943)
H (0.612, 0.062, 0.354)
H (0.935, 0.399, 0.646)
I (0.488, 0.508, 0.488)
Ba (0.004, 0.002, 0.003)

=====

Record 8
Here is crystalline BaH4I2O2 at its relaxed geometry from the Materials Project database. Energies are from PBE.

Space-group type   C2/c, No. 15
Uncorrected energy   -4.4590 eV/atom
Total magnetic moment   0.0 μB/f.u.

Lattice parameters (Å, degrees): 6.748 6.748 8.801 72.87 72.87 69.16
Sites, in units of the cell vectors:
I (0.774, 0.810, 0.351)
I (0.226, 0.190, 0.649)
I (0.190, 0.226, 0.149)
I (0.810, 0.774, 0.851)
Ba (0.596, 0.404, 0.250)
Ba (0.404, 0.596, 0.750)
H (0.139, 0.713, 0.113)
H (0.873, 0.280, 0.552)
H (0.713, 0.139, 0.613)
H (0.287, 0.861, 0.387)
H (0.861, 0.287, 0.887)
H (0.127, 0.720, 0.448)
H (0.720, 0.127, 0.948)
H (0.280, 0.873, 0.052)
O (0.722, 0.287, 0.555)
O (0.287, 0.722, 0.055)
O (0.278, 0.713, 0.445)
O (0.713, 0.278, 0.945)

=====

Record 9
Here is crystalline BaH8I2O12 at its relaxed geometry from the Materials Project database. Energies are from PBE.

Space-group type   C2/c, No. 15
Uncorrected energy   -4.8706 eV/atom
Total magnetic moment   0.0 μB/f.u.

Lattice parameters (Å, degrees): 7.634 7.634 9.612 85.64 85.64 63.89
Sites, in units of the cell vectors:
H (0.127, 0.125, 0.395)
H (0.771, 0.217, 0.962)
H (0.873, 0.875, 0.605)
H (0.951, 0.449, 0.719)
H (0.426, 0.808, 0.004)
H (0.783, 0.229, 0.538)
H (0.049, 0.551, 0.281)
H (0.125, 0.127, 0.895)
H (0.449, 0.951, 0.219)
H (0.551, 0.049, 0.781)
H (0.192, 0.574, 0.496)
H (0.229, 0.783, 0.038)
H (0.574, 0.192, 0.996)
H (0.217, 0.771, 0.462)
H (0.808, 0.426, 0.504)
H (0.875, 0.873, 0.105)
O (0.005, 0.759, 0.748)
O (0.241, 0.995, 0.752)
O (0.508, 0.836, 0.288)
O (0.836, 0.508, 0.788)
O (0.712, 0.372, 0.527)
O (0.366, 0.141, 0.102)
O (0.164, 0.492, 0.212)
O (0.141, 0.366, 0.602)
O (0.372, 0.712, 0.027)
O (0.628, 0.288, 0.973)
O (0.634, 0.859, 0.898)
O (0.995, 0.241, 0.252)
O (0.960, 0.835, 0.016)
O (0.859, 0.634, 0.398)
O (0.460, 0.158, 0.431)
O (0.540, 0.842, 0.569)
O (0.842, 0.540, 0.069)
O (0.835, 0.960, 0.516)
O (0.492, 0.164, 0.712)
O (0.288, 0.628, 0.473)
O (0.158, 0.460, 0.931)
O (0.759, 0.005, 0.248)
O (0.040, 0.165, 0.984)
O (0.165, 0.040, 0.484)
I (0.683, 0.889, 0.398)
I (0.317, 0.111, 0.602)
I (0.111, 0.317, 0.102)
I (0.889, 0.683, 0.898)
Ba (0.565, 0.435, 0.250)
Ba (0.435, 0.565, 0.750)

=====

Record 10
Here is crystalline Ba3In2H12O12 at its relaxed geometry from the Materials Project database. Energies are from PBE.

Space-group type   Ia-3d, No. 230
Uncorrected energy   -5.3778 eV/atom
Total magnetic moment   0.0 μB/f.u.

Lattice parameters (Å, degrees): 12.444 12.444 12.444 109.47 109.47 109.47
Sites, in units of the cell vectors:
H (0.949, 0.199, 0.063)
H (0.614, 0.250, 0.551)
H (0.937, 0.386, 0.136)
H (0.750, 0.136, 0.699)
H (0.437, 0.301, 0.551)
H (0.801, 0.937, 0.051)
H (0.636, 0.250, 0.199)
H (0.301, 0.551, 0.437)
H (0.864, 0.063, 0.614)
H (0.250, 0.864, 0.301)
H (0.386, 0.750, 0.449)
H (0.449, 0.386, 0.750)
H (0.136, 0.699, 0.750)
H (0.699, 0.750, 0.136)
H (0.449, 0.563, 0.699)
H (0.063, 0.614, 0.864)
H (0.801, 0.364, 0.750)
H (0.949, 0.250, 0.886)
H (0.551, 0.437, 0.301)
H (0.199, 0.063, 0.949)
H (0.386, 0.136, 0.937)
H (0.250, 0.199, 0.636)
H (0.136, 0.937, 0.386)
H (0.250, 0.886, 0.949)
H (0.886, 0.437, 0.636)
H (0.063, 0.949, 0.199)
H (0.614, 0.864, 0.063)
H (0.864, 0.301, 0.250)
H (0.114, 0.051, 0.750)
H (0.364, 0.750, 0.801)
H (0.750, 0.449, 0.386)
H (0.937, 0.051, 0.801)
H (0.750, 0.801, 0.364)
H (0.437, 0.636, 0.886)
H (0.886, 0.949, 0.250)
H (0.114, 0.563, 0.364)
H (0.051, 0.750, 0.114)
H (0.364, 0.114, 0.563)
H (0.199, 0.636, 0.250)
H (0.250, 0.551, 0.614)
H (0.563, 0.364, 0.114)
H (0.636, 0.886, 0.437)
H (0.699, 0.449, 0.563)
H (0.051, 0.801, 0.937)
H (0.551, 0.614, 0.250)
H (0.750, 0.114, 0.051)
H (0.563, 0.699, 0.449)
H (0.301, 0.250, 0.864)
O (0.887, 0.412, 0.082)
O (0.887, 0.974, 0.805)
O (0.387, 0.582, 0.912)
O (0.305, 0.474, 0.387)
O (0.418, 0.088, 0.613)
O (0.169, 0.195, 0.582)
O (0.387, 0.305, 0.474)
O (0.613, 0.418, 0.088)
O (0.526, 0.613, 0.695)
O (0.474, 0.588, 0.169)
O (0.805, 0.418, 0.831)
O (0.695, 0.526, 0.613)
O (0.026, 0.195, 0.113)
O (0.169, 0.474, 0.588)
O (0.195, 0.113, 0.026)
O (0.113, 0.026, 0.195)
O (0.026, 0.331, 0.912)
O (0.526, 0.412, 0.831)
O (0.113, 0.588, 0.918)
O (0.412, 0.082, 0.887)
O (0.331, 0.918, 0.305)
O (0.974, 0.805, 0.887)
O (0.195, 0.582, 0.169)
O (0.831, 0.805, 0.418)
O (0.588, 0.169, 0.474)
O (0.918, 0.305, 0.331)
O (0.582, 0.169, 0.195)
O (0.974, 0.669, 0.088)
O (0.695, 0.669, 0.082)
O (0.912, 0.026, 0.331)
O (0.082, 0.695, 0.669)
O (0.669, 0.082, 0.695)
O (0.412, 0.831, 0.526)
O (0.912, 0.387, 0.582)
O (0.582, 0.912, 0.387)
O (0.082, 0.887, 0.412)
O (0.474, 0.387, 0.305)
O (0.613, 0.695, 0.526)
O (0.088, 0.613, 0.418)
O (0.918, 0.113, 0.588)
O (0.805, 0.887, 0.974)
O (0.305, 0.331, 0.918)
O (0.331, 0.912, 0.026)
O (0.669, 0.088, 0.974)
O (0.831, 0.526, 0.412)
O (0.418, 0.831, 0.805)
O (0.588, 0.918, 0.113)
O (0.088, 0.974, 0.669)
In (0.000, 0.000, 0.500)
In (0.500, 0.000, 0.500)
In (0.500, 0.500, 0.500)
In (0.000, 0.000, 0.000)
In (0.000, 0.500, 0.000)
In (0.000, 0.500, 0.500)
In (0.500, 0.500, 0.000)
In (0.500, 0.000, 0.000)
Ba (0.125, 0.250, 0.375)
Ba (0.625, 0.250, 0.875)
Ba (0.875, 0.625, 0.250)
Ba (0.125, 0.375, 0.750)
Ba (0.875, 0.750, 0.625)
Ba (0.375, 0.125, 0.250)
Ba (0.250, 0.875, 0.625)
Ba (0.250, 0.375, 0.125)
Ba (0.750, 0.125, 0.375)
Ba (0.750, 0.625, 0.875)
Ba (0.625, 0.875, 0.750)
Ba (0.375, 0.750, 0.125)

=====

- What is the formula in the second record?
  Ba2GeSb4S10